No. 1
The following is a DFT calculation (PBE) of a relaxed Sr2AlGa3 crystal.

Summary:
- total energy (Ry/atom) = -0.23042
- SG = P-6m2 (187)
- crystal system = hexagonal

```
Sr2AlGa3
1.0
4.403 0.000 0.000
-2.202 3.813 0.000
0.000 0.000 9.517
Sr Al Ga
2 1 3
Cartesian
0.000 0.000 2.381
0.000 0.000 7.137
0.000 2.542 0.000
0.000 2.542 4.759
2.202 1.271 0.000
2.202 1.271 4.759
```

***

No. 2
The following is a DFT calculation (PBE) of a relaxed U2Al3Ga crystal.

Summary:
- total energy (Ry/atom) = -0.46419
- total magnetic moment (Bohr magnetons per cell) = 5.47
- SG = R-3m (166)
- crystal system = trigonal

```
U2Al3Ga
1.0
2.730 1.576 4.459
-2.730 1.576 4.459
0.000 -3.152 4.459
U Al Ga
2 3 1
Cartesian
0.000 0.000 1.660
0.000 0.000 11.716
-1.365 -0.788 4.459
-1.365 0.788 8.918
0.000 1.576 4.459
0.000 0.000 6.688
```

***

No. 3
The following is a DFT calculation (PBE) of a relaxed AlV6Ga crystal.

Summary:
- total energy (Ry/atom) = -0.57445
- SG = Pm-3 (200)
- crystal system = cubic

```
AlV6Ga
1.0
4.799 0.000 0.000
0.000 4.799 0.000
0.000 0.000 4.799
Al V Ga
1 6 1
Cartesian
0.000 0.000 0.000
0.000 1.185 2.400
0.000 3.614 2.400
1.185 2.400 0.000
2.400 0.000 1.185
2.400 0.000 3.614
3.614 2.400 0.000
2.400 2.400 2.400
```

***

No. 4
The following is a DFT calculation (PBE) of a relaxed GdAl crystal.

Summary:
- total energy (Ry/atom) = -0.68399
- SG = Pm-3m (221)
- crystal system = cubic

```
GdAl
1.0
3.636 0.000 0.000
0.000 3.636 0.000
0.000 0.000 3.636
Gd Al
1 1
Cartesian
0.000 0.000 0.000
1.818 1.818 1.818
```

***

No. 5
The following is a DFT calculation (PBE) of a relaxed GdAl crystal.

Summary:
- total energy (Ry/atom) = -0.68533
- SG = Cmcm (63)
- crystal system = orthorhombic

```
GdAl
1.0
4.542 -3.777 0.000
4.542 3.777 0.000
0.000 0.000 5.660
Gd Al
4 4
Cartesian
1.637 1.177 1.415
1.637 -1.177 4.245
7.447 1.177 1.415
7.447 -1.177 4.245
4.542 2.339 1.415
4.542 0.000 0.000
4.542 0.000 2.830
4.542 -2.339 4.245
```

***

No. 6
The following is a DFT calculation (PBE) of a relaxed GdAl2 crystal.

Summary:
- total energy (Ry/atom) = -0.56742
- SG = Fd-3m (227)
- crystal system = cubic

```
GdAl2
1.0
0.000 3.957 3.957
3.957 0.000 3.957
3.957 3.957 0.000
Gd Al
2 4
Cartesian
0.989 0.989 0.989
6.925 6.925 6.925
3.957 1.979 1.979
1.979 3.957 1.979
1.979 1.979 3.957
3.957 3.957 3.957
```

***

No. 7
The following is a DFT calculation (PBE) of a relaxed GdAl3 crystal.

Summary:
- total energy (Ry/atom) = -0.49713
- SG = P6_3/mmc (194)
- crystal system = hexagonal

```
GdAl3
1.0
6.343 0.000 0.000
-3.171 5.493 0.000
0.000 0.000 4.642
Gd Al
2 6
Cartesian
0.000 3.662 1.160
3.171 1.831 3.481
0.000 1.601 3.481
-1.785 4.692 3.481
1.387 0.801 1.160
1.785 4.692 3.481
4.956 0.801 1.160
3.171 3.892 1.160
```

***

No. 8
The following is a DFT calculation (PBE) of a relaxed Gd2AlGe6 crystal.

Summary:
- total energy (Ry/atom) = -0.51819
- total magnetic moment (Bohr magnetons per cell) = 27.66
- SG = C2/m (12)
- crystal system = monoclinic

```
Gd2AlGe6
1.0
4.193 -4.324 0.000
4.193 4.324 0.000
-2.132 0.000 10.360
Gd Al Ge
4 2 12
Cartesian
2.061 2.179 6.853
4.194 2.179 3.507
2.061 -2.179 6.853
4.194 -2.179 3.507
-0.034 0.000 8.315
6.288 0.000 2.045
2.098 1.855 1.217
0.330 0.000 1.217
0.039 0.000 5.809
2.146 0.000 4.299
3.864 0.000 1.219
2.098 -1.855 1.217
4.157 1.855 9.144
2.391 0.000 9.141
4.109 0.000 6.061
6.216 0.000 4.551
5.924 0.000 9.143
4.157 -1.855 9.144
```

***

No. 9
The following is a DFT calculation (PBE) of a relaxed GdAlGe crystal.

Summary:
- total energy (Ry/atom) = -0.59580
- total magnetic moment (Bohr magnetons per cell) = 13.99
- SG = I4_1md (109)
- crystal system = tetragonal

```
GdAlGe
1.0
-2.098 2.098 7.348
2.098 -2.098 7.348
2.098 2.098 -7.348
Gd Al Ge
2 2 2
Cartesian
0.000 0.000 0.000
0.000 2.098 3.674
2.098 0.000 4.907
0.000 0.000 8.581
2.098 0.000 2.482
0.000 0.000 6.156
```

***

No. 10
The following is a DFT calculation (PBE) of a relaxed GdAlGe crystal.

Summary:
- total energy (Ry/atom) = -0.60102
- SG = Cmcm (63)
- crystal system = orthorhombic

```
GdAlGe
1.0
2.049 -5.269 0.000
2.049 5.269 0.000
0.000 0.000 5.802
Gd Al Ge
2 2 2
Cartesian
2.049 3.288 4.351
2.049 -3.288 1.450
2.049 0.000 0.000
2.049 0.000 2.901
2.049 4.160 1.450
2.049 -4.160 4.351
```

***

No. 11
The following is a DFT calculation (PBE) of a relaxed GdAlGe2O7 crystal.

Summary:
- total energy (Ry/atom) = -0.59016
- total magnetic moment (Bohr magnetons per cell) = 28.00
- SG = P2_1/c (14)
- crystal system = monoclinic

```
GdAlGe2O7
1.0
7.261 0.000 0.000
0.000 6.552 0.000
-5.909 0.000 11.324
Gd Al Ge O
4 4 8 28
Cartesian
-1.032 0.959 5.346
-3.986 2.317 11.008
5.338 4.234 0.316
2.384 5.593 5.978
-2.771 0.666 8.257
0.183 2.609 2.595
1.169 3.942 8.730
4.123 5.885 3.067
-1.138 4.305 5.114
-4.092 5.522 10.776
-2.058 3.866 8.159
0.896 5.962 2.497
0.456 0.590 8.828
3.410 2.686 3.166
5.444 1.029 0.549
2.490 2.247 6.211
-5.349 4.304 10.372
-2.394 5.523 4.709
0.043 4.465 2.120
-2.912 5.362 7.782
-3.628 0.357 9.811
-0.673 2.919 4.149
-0.026 0.757 3.159
-2.981 2.519 8.822
1.367 0.010 0.835
-1.587 3.266 6.497
-2.799 4.408 11.068
0.156 5.419 5.406
-1.017 0.812 7.871
1.938 2.464 2.209
-0.586 4.088 9.115
2.369 5.740 3.453
1.196 1.133 5.919
4.151 2.143 0.256
2.939 3.286 4.827
-0.015 6.542 10.489
4.333 4.033 2.503
1.378 5.795 8.165
2.025 3.633 7.176
4.980 6.194 1.513
4.264 1.190 3.542
1.309 2.086 9.204
3.746 1.028 6.615
6.701 2.247 0.953
```

***

No. 12
The following is a DFT calculation (PBE) of a relaxed Gd3Al2Ni6H9 crystal.

Summary:
- total energy (Ry/atom) = -0.45038
- total magnetic moment (Bohr magnetons per cell) = 42.00
- SG = Im-3m (229)
- crystal system = cubic

```
Gd3Al2Ni6H9
1.0
-4.622 4.622 4.622
4.622 -4.622 4.622
4.622 4.622 -4.622
Gd Al Ni H
6 4 12 18
Cartesian
2.502 0.000 0.000
6.743 0.000 0.000
0.000 2.502 0.000
0.000 0.000 2.502
0.000 6.743 0.000
0.000 0.000 6.743
2.311 2.311 -2.311
2.311 -2.311 2.311
-2.311 2.311 2.311
2.311 2.311 2.311
4.622 1.493 -1.493
4.622 -1.493 1.493
4.622 1.493 1.493
1.493 4.622 -1.493
3.129 3.129 0.000
1.493 -1.493 4.622
3.129 0.000 3.129
-1.493 4.622 1.493
1.493 4.622 1.493
-1.493 1.493 4.622
1.493 1.493 4.622
0.000 3.129 3.129
0.000 0.000 0.000
1.237 1.237 -1.237
3.386 3.386 -3.386
1.237 -1.237 1.237
4.622 0.000 0.000
3.386 -3.386 3.386
4.622 2.311 0.000
4.622 0.000 2.311
-1.237 1.237 1.237
1.237 1.237 1.237
0.000 4.622 0.000
2.311 4.622 0.000
0.000 0.000 4.622
2.311 0.000 4.622
-3.386 3.386 3.386
3.386 3.386 3.386
0.000 4.622 2.311
0.000 2.311 4.622
```

***

- The lowest total energy belongs to which entry?
  number 5

***

- total energy of number 3 (AlV6Ga)?
  -0.57445 Ry/atom

***

- Look up the total energy of the fourth one.
  -0.68399 Ry/atom

***

- The lowest total energy belongs to which entry?
  number 5